Record 1
Compound: Sr9TmV7O28
Source: the Materials Project
Functional: GGA+U
Structure: optimized geometry

Cell: 11.3710 11.3710 40.1796 Å, 90.00 90.00 120.00°
Space group R3c (No. 161, hexagonal axes)
Inequivalent atoms, fractional coordinates:
Sr: 0.0458 0.5090 0.0000 x18
Sr: 0.1885 0.3875 0.6329 x18
Sr: 0.1889 0.3940 0.7404 x18
Tm: 0.0000 0.0000 0.3990 x6
V: 0.0000 0.0000 0.1284 x6
V: 0.0115 0.4901 0.2004 x18
V: 0.1602 0.3519 0.4304 x18
O: 0.0000 0.0000 0.0852 x6
O: 0.0053 0.2811 0.7863 x18
O: 0.0203 0.2504 0.0143 x18
O: 0.0498 0.5196 0.2421 x18
O: 0.0696 0.3832 0.1869 x18
O: 0.0841 0.1714 0.4346 x18
O: 0.0954 0.4208 0.9449 x18
O: 0.1513 0.3932 0.3900 x18
O: 0.1552 0.0148 0.6401 x18
O: 0.1670 0.0739 0.8610 x18

Output
- M_tot (Bohr magnetons per cell) = 0.35
- ΔE_f (eV/atom) = -3.075
- ρ (Mg/m³) = 3.90
- V (Å³/cell) = 4499

Record 2
Compound: Sr4V3O10
Source: the Materials Project
Functional: GGA+U
Structure: optimized geometry

Cell: 3.8990 3.8990 28.1979 Å, 90.00 90.00 90.00°
Space group I4/mmm (No. 139)
Inequivalent atoms, fractional coordinates:
Sr: 0.0000 0.0000 0.0685 x4
Sr: 0.0000 0.0000 0.2025 x4
V: 0.0000 0.0000 0.3608 x4
V: 0.0000 0.0000 0.5000 x2
O: 0.0000 0.0000 0.2909 x4
O: 0.0000 0.0000 0.4313 x4
O: 0.0000 0.5000 0.0000 x4
O: 0.0000 0.5000 0.1384 x8

Output
- M_tot (Bohr magnetons per cell) = 6.00
- ΔE_f (eV/atom) = -2.908
- ρ (Mg/m³) = 5.14
- V (Å³/cell) = 429

Record 3
Compound: Sr2V2O7
Source: the Materials Project
Functional: GGA+U
Structure: optimized geometry

Cell: 7.1793 7.2379 13.1676 Å, 98.88 93.58 90.89°
Space group P-1 (No. 2)
Inequivalent atoms, fractional coordinates:
Sr: 0.0733 0.3441 0.3452 x2
Sr: 0.2534 0.7270 0.1514 x2
Sr: 0.3292 0.2845 0.6365 x2
Sr: 0.3644 0.8728 0.8636 x2
V: 0.1595 0.8204 0.4170 x2
V: 0.1653 0.1944 0.0891 x2
V: 0.2173 0.3961 0.8890 x2
V: 0.4436 0.7992 0.6147 x2
O: 0.0090 0.3277 0.5477 x2
O: 0.0091 0.8668 0.8392 x2
O: 0.0535 0.9784 0.3528 x2
O: 0.0674 0.4289 0.7873 x2
O: 0.0735 0.2770 0.9708 x2
O: 0.3011 0.6524 0.6710 x2
O: 0.3026 0.3635 0.1631 x2
O: 0.3034 0.9340 0.5318 x2
O: 0.3039 0.6797 0.3394 x2
O: 0.3079 0.6022 0.9556 x2
O: 0.3100 0.0068 0.0550 x2
O: 0.3818 0.3169 0.4489 x2
O: 0.3905 0.2538 0.8379 x2
O: 0.4655 0.0368 0.2874 x2

Output
- ΔE_f (eV/atom) = -2.916
- ρ (Mg/m³) = 3.83
- V (Å³/cell) = 675

Record 4
Compound: SrV13O18
Source: the Materials Project
Functional: GGA+U
Structure: optimized geometry

Cell: 13.1529 13.1529 7.4999 Å, 90.00 90.00 120.00°
Space group R-3 (No. 148, hexagonal axes)
Inequivalent atoms, fractional coordinates:
Sr: 0.0000 0.0000 0.0000 x3
V: 0.0000 0.0000 0.5000 x3
V: 0.0409 0.7664 0.8385 x18
V: 0.0691 0.5060 0.1637 x18
O: 0.0227 0.8733 0.6460 x18
O: 0.0390 0.7469 0.3442 x18
O: 0.0611 0.5047 0.6781 x18

Output
- M_tot (Bohr magnetons per cell) = 93.00
- ΔE_f (eV/atom) = -2.382
- ρ (Mg/m³) = 4.60
- V (Å³/cell) = 1124

Record 5
Compound: SrVO3
Source: the Materials Project
Functional: GGA+U
Structure: optimized geometry

Cell: 3.9009 3.9009 3.9009 Å, 90.00 90.00 90.00°
Space group Pm-3m (No. 221)
Inequivalent atoms, fractional coordinates:
Sr: 0.0000 0.0000 0.0000 x1
V: 0.5000 0.5000 0.5000 x1
O: 0.0000 0.5000 0.5000 x3

Output
- M_tot (Bohr magnetons per cell) = 1.00
- ΔE_f (eV/atom) = -2.879
- ρ (Mg/m³) = 5.22
- V (Å³/cell) = 59

Record 6
Compound: SrV10O15
Source: the Materials Project
Functional: GGA+U
Structure: optimized geometry

Cell: 11.7694 10.5150 9.5782 Å, 90.00 90.00 90.00°
Space group Cmce (No. 64)
Inequivalent atoms, fractional coordinates:
Sr: 0.0000 0.0000 0.0000 x4
V: 0.0000 0.1810 0.3697 x8
V: 0.1256 0.0838 0.6461 x16
V: 0.2440 0.1630 0.1188 x16
O: 0.0000 0.0000 0.5000 x4
O: 0.0000 0.1473 0.7663 x8
O: 0.1234 0.0890 0.2566 x16
O: 0.1245 0.2341 0.5070 x16
O: 0.2407 0.0000 0.5000 x8
O: 0.2500 0.1777 0.7500 x8

Output
- M_tot (Bohr magnetons per cell) = 88.00
- ΔE_f (eV/atom) = -2.512
- ρ (Mg/m³) = 4.69
- V (Å³/cell) = 1185

Record 7
Compound: Sr16V12O39
Source: the Materials Project
Functional: GGA+U
Structure: optimized geometry

Cell: 7.8598 8.7828 14.4209 Å, 79.47 82.13 63.48°
Space group P1 (No. 1)
Inequivalent atoms, fractional coordinates:
Sr: 0.0000 0.0000 0.0000 x1
Sr: 0.0273 0.0704 0.7316 x1
Sr: 0.1662 0.3731 0.5425 x1
Sr: 0.1945 0.4453 0.2709 x1
Sr: 0.2316 0.5119 0.0003 x1
Sr: 0.2719 0.5744 0.7324 x1
Sr: 0.4192 0.8681 0.5414 x1
Sr: 0.4516 0.9315 0.2711 x1
Sr: 0.4875 0.0000 0.0006 x1
Sr: 0.5233 0.0693 0.7353 x1
Sr: 0.6774 0.3723 0.5424 x1
Sr: 0.7122 0.4449 0.2709 x1
Sr: 0.7432 0.5124 0.0004 x1
Sr: 0.7737 0.5773 0.7324 x1
Sr: 0.9288 0.8691 0.5416 x1
Sr: 0.9688 0.9319 0.2708 x1
V: 0.0637 0.1527 0.4139 x1
V: 0.0985 0.2220 0.1371 x1
V: 0.1328 0.2920 0.8574 x1
V: 0.3142 0.6504 0.4162 x1
V: 0.3483 0.7221 0.1376 x1
V: 0.3851 0.7884 0.8550 x1
V: 0.5621 0.1487 0.4296 x1
V: 0.6002 0.2250 0.1244 x1
V: 0.6342 0.2927 0.8546 x1
V: 0.8128 0.6533 0.4164 x1
V: 0.8486 0.7216 0.1377 x1
V: 0.8825 0.7958 0.8549 x1
O: 0.0042 0.5479 0.8632 x1
O: 0.0462 0.1170 0.5559 x1
O: 0.0630 0.6537 0.4135 x1
O: 0.0819 0.1885 0.2705 x1
O: 0.0985 0.7214 0.1392 x1
O: 0.1154 0.2554 0.0031 x1
O: 0.1331 0.7908 0.8613 x1
O: 0.1499 0.3275 0.7178 x1
O: 0.1898 0.9005 0.4128 x1
O: 0.2258 0.9698 0.1350 x1
O: 0.2613 0.0331 0.8629 x1
O: 0.2966 0.6158 0.5550 x1
O: 0.3316 0.6885 0.2739 x1
O: 0.3338 0.1550 0.4042 x1
O: 0.3522 0.2207 0.1424 x1
O: 0.3688 0.7449 0.0054 x1
O: 0.3739 0.2910 0.8605 x1
O: 0.3996 0.8295 0.7153 x1
O: 0.4403 0.4039 0.4089 x1
O: 0.4799 0.4526 0.1508 x1
O: 0.5035 0.5518 0.8588 x1
O: 0.5454 0.1164 0.5606 x1
O: 0.5655 0.6517 0.4136 x1
O: 0.5978 0.7212 0.1403 x1
O: 0.6165 0.2567 0.9961 x1
O: 0.6331 0.7907 0.8613 x1
O: 0.6515 0.3284 0.7158 x1
O: 0.6897 0.9046 0.4092 x1
O: 0.7138 0.9845 0.1513 x1
O: 0.7638 0.0310 0.8585 x1
O: 0.7963 0.6184 0.5552 x1
O: 0.7967 0.1551 0.4040 x1
O: 0.8315 0.6872 0.2736 x1
O: 0.8435 0.2206 0.1427 x1
O: 0.8599 0.7653 0.0058 x1
O: 0.8923 0.2913 0.8607 x1
O: 0.9040 0.8232 0.7154 x1
O: 0.9384 0.4044 0.4128 x1
O: 0.9720 0.4752 0.1350 x1

Output
- M_tot (Bohr magnetons per cell) = 14.00
- ΔE_f (eV/atom) = -2.946
- ρ (Mg/m³) = 5.01
- V (Å³/cell) = 874

Record 8
Compound: Sr3V2O8
Source: the Materials Project
Functional: GGA+U
Structure: optimized geometry

Cell: 5.7226 5.7226 20.2559 Å, 90.00 90.00 120.00°
Space group R-3m (No. 166, hexagonal axes)
Inequivalent atoms, fractional coordinates:
Sr: 0.0000 0.0000 0.0000 x3
Sr: 0.0000 0.0000 0.2013 x6
V: 0.0000 0.0000 0.4059 x6
O: 0.0000 0.0000 0.3208 x6
O: 0.0007 0.5004 0.2321 x18

Output
- ΔE_f (eV/atom) = -3.018
- ρ (Mg/m³) = 4.27
- V (Å³/cell) = 574

Record 9
Compound: Sr8V6O19
Source: the Materials Project
Functional: GGA+U
Structure: optimized geometry

Cell: 5.5673 5.5874 28.1437 Å, 90.00 90.00 90.00°
Space group Amm2 (No. 38)
Inequivalent atoms, fractional coordinates:
Sr: 0.0000 0.0000 0.0000 x2
Sr: 0.0000 0.0000 0.1317 x2
Sr: 0.0000 0.0000 0.2677 x2
Sr: 0.0000 0.0000 0.4032 x2
Sr: 0.5000 0.0000 0.4995 x2
Sr: 0.5000 0.0000 0.6318 x2
Sr: 0.5000 0.0000 0.7678 x2
Sr: 0.5000 0.0000 0.9039 x2
V: 0.0000 0.0000 0.5604 x2
V: 0.0000 0.0000 0.6952 x2
V: 0.0000 0.0000 0.8446 x2
V: 0.5000 0.0000 0.0604 x2
V: 0.5000 0.0000 0.2019 x2
V: 0.5000 0.0000 0.3391 x2
O: 0.0000 0.0000 0.4928 x2
O: 0.0000 0.0000 0.6274 x2
O: 0.0000 0.0000 0.9143 x2
O: 0.2453 0.2451 0.7043 x8
O: 0.2509 0.2488 0.8357 x8
O: 0.2544 0.2468 0.0623 x8
O: 0.5000 0.0000 0.1350 x2
O: 0.5000 0.0000 0.2685 x2
O: 0.5000 0.0000 0.4095 x2
O: 0.5000 0.0000 0.9908 x2

Output
- M_tot (Bohr magnetons per cell) = 16.00
- ΔE_f (eV/atom) = -2.908
- ρ (Mg/m³) = 4.97
- energy relative to the lowest polymorph listed for this composition (meV per atom) = 0.0
- V (Å³/cell) = 875

Question: Which value of ρ does entry 7 give?
Answer: 5.01 Mg/m³